1.
## LiMnPO4 (PBE+U)

Data for a relaxed LiMnPO4 crystal.

The structure in extended XYZ format:
```
28
Lattice="5.272 0.000 0.000 0.000 6.189 0.000 -4.374 0.000 9.627" Properties=species:S:1:pos:R:3 pbc="T T T"
Li -1.395 0.863 4.092
Li -3.581 2.232 8.906
Li 4.480 3.957 0.722
Li 2.293 5.326 5.535
Mn -0.529 3.783 6.388
Mn 1.658 5.500 1.575
Mn -0.759 0.688 8.053
Mn 1.428 2.406 3.239
P -1.043 4.023 3.509
P -3.230 5.260 8.322
P 4.128 0.928 1.305
P 1.942 2.166 6.119
O -3.271 4.118 9.374
O -1.084 5.166 4.560
O 0.160 0.891 2.158
O -2.027 2.203 6.972
O -2.998 0.388 9.118
O -0.812 2.707 4.305
O 0.168 4.126 2.514
O -2.019 5.157 7.327
O 2.917 1.031 2.300
O 0.731 2.063 7.114
O 1.710 3.482 5.323
O 3.897 5.801 0.509
O 2.926 3.985 2.655
O 0.739 5.298 7.469
O 1.983 1.023 5.067
O 4.170 2.071 0.253
```

DFT total energy = -7.148 eV per atom
Energy above the lowest structure with this stoichiometry = 37 meV/atom
Crystal system = monoclinic
Formation energy = -2597 meV/atom

=====

2.
## LiMnP2O7 (PBE+U)

Data for a relaxed LiMnP2O7 crystal.

The structure in extended XYZ format:
```
44
Lattice="7.170 0.000 0.000 0.000 8.375 0.000 -3.728 0.000 9.015" Properties=species:S:1:pos:R:3 pbc="T T T"
Li 0.306 0.944 2.230
Li -1.558 3.244 6.737
Li 5.000 5.131 2.278
Li 3.136 7.431 6.785
Mn -1.098 0.025 6.742
Mn 0.766 4.162 2.235
Mn 2.676 4.212 6.780
Mn 4.539 8.350 2.273
P -2.257 5.796 8.564
P -0.393 6.766 4.056
P 2.767 1.891 0.416
P 0.903 2.297 4.924
P 2.538 6.078 4.092
P 0.675 6.484 8.599
P 3.835 1.608 4.959
P 5.699 2.579 0.452
O -2.709 4.658 7.622
O -0.846 7.904 3.114
O -0.665 5.373 3.511
O -2.529 7.189 8.019
O 0.979 5.652 0.995
O -0.885 6.909 5.502
O -1.237 1.599 7.935
O 0.627 2.588 3.428
O -0.206 1.437 5.467
O 1.658 2.751 0.960
O -0.651 5.561 8.561
O 1.213 7.001 4.054
O 2.987 0.616 1.246
O 1.123 3.571 5.753
O 2.319 4.804 3.262
O 0.455 7.758 7.769
O 2.229 1.373 4.961
O 4.093 2.814 0.454
O 1.784 5.624 8.055
O 3.648 6.938 3.548
O 2.815 5.786 5.587
O 4.679 6.776 1.080
O 4.327 1.465 3.513
O 2.463 2.722 8.020
O 5.971 1.185 0.996
O 4.107 3.002 5.504
O 4.287 0.470 5.901
O 6.151 3.717 1.393
```

DFT total energy = -7.111 eV per atom
Energy above the lowest structure with this stoichiometry = 6 meV/atom
Crystal system = monoclinic
Formation energy = -2560 meV/atom

=====

3.
## Li6Mn5P8O28 (PBE+U)

Data for a relaxed Li6Mn5P8O28 crystal.

The structure in extended XYZ format:
```
94
Lattice="9.223 0.000 0.000 4.365 9.759 0.000 3.738 -1.169 12.614" Properties=species:S:1:pos:R:3 pbc="T T T"
Li 0.000 0.000 0.000
Li 1.869 -0.584 6.307
Li 6.092 4.643 3.456
Li 6.999 0.057 10.474
Li 5.188 0.691 4.102
Li 8.482 5.581 7.003
Li 6.742 6.079 0.692
Li 10.584 2.511 11.921
Li 8.844 3.010 5.611
Li 12.138 7.900 8.512
Li 10.328 8.533 2.139
Li 11.234 3.947 9.158
Mn 3.295 1.872 7.188
Mn 1.487 2.422 0.866
Mn 7.855 3.850 9.578
Mn 6.840 1.253 7.632
Mn 5.010 1.880 1.385
Mn 12.316 6.710 11.229
Mn 10.486 7.337 4.982
Mn 9.471 4.741 3.036
Mn 15.840 6.168 11.748
Mn 14.031 6.718 5.426
P 2.930 2.637 3.999
P 4.873 2.083 10.265
P 5.970 3.888 6.686
P 4.125 4.475 0.355
P 9.130 8.498 7.597
P 7.305 9.056 1.282
P 9.281 6.867 9.953
P 7.506 7.454 3.666
P 9.820 1.137 8.948
P 8.045 1.724 2.661
P 10.022 -0.466 11.332
P 8.197 0.093 5.016
P 13.201 4.115 12.259
P 11.356 4.703 5.927
P 12.453 6.508 2.348
P 14.396 5.954 8.615
O 2.673 1.571 5.054
O 5.010 4.541 7.792
O 3.205 5.125 1.486
O 4.389 6.371 3.324
O 6.307 5.670 9.616
O 4.812 0.939 11.276
O 3.799 -0.229 7.054
O 1.949 0.327 0.779
O 8.547 6.935 11.280
O 6.734 7.507 4.967
O 7.692 4.141 11.694
O 8.517 7.944 8.987
O 5.911 4.722 5.416
O 6.711 8.470 2.671
O 4.305 2.456 3.330
O 5.400 2.458 6.569
O 6.281 2.126 9.588
O 3.547 3.046 0.259
O 7.428 3.860 7.271
O 5.592 4.464 0.834
O 9.232 5.485 9.245
O 9.274 7.260 6.701
O 7.418 7.824 0.375
O 6.164 -0.679 7.902
O 7.555 6.039 3.003
O 4.338 -0.107 1.565
O 10.723 7.394 10.050
O 8.923 8.045 3.775
O 8.403 0.546 8.839
O 6.603 1.197 2.564
O 12.989 8.698 11.049
O 9.771 2.552 9.610
O 11.162 9.270 4.712
O 9.908 0.766 12.239
O 8.052 1.331 5.913
O 8.094 3.106 3.369
O 11.734 4.126 11.779
O 9.898 4.731 5.343
O 13.779 5.545 12.354
O 11.045 6.464 3.025
O 11.926 6.132 6.044
O 13.021 6.134 9.284
O 10.615 0.121 9.943
O 11.415 3.869 7.198
O 8.809 0.647 3.626
O 9.635 4.450 0.920
O 10.592 1.084 7.647
O 8.780 1.656 1.333
O 15.377 8.263 11.835
O 13.527 8.819 5.559
O 12.514 7.652 1.338
O 11.019 2.921 2.998
O 12.937 2.220 9.290
O 14.121 3.466 11.128
O 12.316 4.049 4.821
O 14.653 7.020 7.560
```

DFT total energy = -7.110 eV per atom
Crystal system = triclinic
Formation energy = -2610 meV/atom

=====

4.
## Li4Mn7P6O24 (PBE+U)

Data for a relaxed Li4Mn7P6O24 crystal.

The structure in extended XYZ format:
```
41
Lattice="5.453 -7.240 0.000 5.453 7.240 0.000 -1.837 0.000 6.403" Properties=species:S:1:pos:R:3 pbc="T T T"
Li 0.000 0.000 0.000
Li 2.993 1.674 6.359
Li 2.993 -1.674 6.359
Li 5.299 0.000 5.848
Mn -0.847 0.000 3.150
Mn 2.314 4.635 4.328
Mn 1.508 2.578 1.903
Mn 4.652 2.400 3.105
Mn 1.508 -2.578 1.903
Mn 2.314 -4.635 4.328
Mn 4.652 -2.400 3.105
P 4.050 4.592 1.186
P 5.129 4.528 5.034
P 2.579 0.000 3.685
P 6.657 0.000 2.589
P 4.050 -4.592 1.186
P 5.129 -4.528 5.034
O 2.950 4.266 2.255
O 0.390 2.407 6.355
O 5.067 5.726 1.605
O 4.193 5.744 4.688
O 1.089 0.000 3.943
O 4.940 3.284 1.171
O 2.957 1.262 2.824
O 4.136 3.295 4.993
O 0.390 -2.407 6.355
O 6.195 4.167 3.928
O 2.957 -1.262 2.824
O 3.407 0.000 5.012
O 5.803 0.000 1.294
O 6.295 1.228 3.520
O 2.950 -4.266 2.255
O 7.050 2.215 6.253
O 4.940 -3.284 1.171
O 4.136 -3.295 4.993
O 6.295 -1.228 3.520
O 8.141 0.000 2.272
O 5.067 -5.726 1.605
O 4.193 -5.744 4.688
O 6.195 -4.167 3.928
O 7.050 -2.215 6.253
```

DFT total energy = -7.283 eV per atom
Energy above the lowest structure with this stoichiometry = 22 meV/atom
Crystal system = monoclinic
Formation energy = -2531 meV/atom

=====

Copy entry 3 word for word.
## Li6Mn5P8O28 (PBE+U)

Data for a relaxed Li6Mn5P8O28 crystal.

The structure in extended XYZ format:
```
94
Lattice="9.223 0.000 0.000 4.365 9.759 0.000 3.738 -1.169 12.614" Properties=species:S:1:pos:R:3 pbc="T T T"
Li 0.000 0.000 0.000
Li 1.869 -0.584 6.307
Li 6.092 4.643 3.456
Li 6.999 0.057 10.474
Li 5.188 0.691 4.102
Li 8.482 5.581 7.003
Li 6.742 6.079 0.692
Li 10.584 2.511 11.921
Li 8.844 3.010 5.611
Li 12.138 7.900 8.512
Li 10.328 8.533 2.139
Li 11.234 3.947 9.158
Mn 3.295 1.872 7.188
Mn 1.487 2.422 0.866
Mn 7.855 3.850 9.578
Mn 6.840 1.253 7.632
Mn 5.010 1.880 1.385
Mn 12.316 6.710 11.229
Mn 10.486 7.337 4.982
Mn 9.471 4.741 3.036
Mn 15.840 6.168 11.748
Mn 14.031 6.718 5.426
P 2.930 2.637 3.999
P 4.873 2.083 10.265
P 5.970 3.888 6.686
P 4.125 4.475 0.355
P 9.130 8.498 7.597
P 7.305 9.056 1.282
P 9.281 6.867 9.953
P 7.506 7.454 3.666
P 9.820 1.137 8.948
P 8.045 1.724 2.661
P 10.022 -0.466 11.332
P 8.197 0.093 5.016
P 13.201 4.115 12.259
P 11.356 4.703 5.927
P 12.453 6.508 2.348
P 14.396 5.954 8.615
O 2.673 1.571 5.054
O 5.010 4.541 7.792
O 3.205 5.125 1.486
O 4.389 6.371 3.324
O 6.307 5.670 9.616
O 4.812 0.939 11.276
O 3.799 -0.229 7.054
O 1.949 0.327 0.779
O 8.547 6.935 11.280
O 6.734 7.507 4.967
O 7.692 4.141 11.694
O 8.517 7.944 8.987
O 5.911 4.722 5.416
O 6.711 8.470 2.671
O 4.305 2.456 3.330
O 5.400 2.458 6.569
O 6.281 2.126 9.588
O 3.547 3.046 0.259
O 7.428 3.860 7.271
O 5.592 4.464 0.834
O 9.232 5.485 9.245
O 9.274 7.260 6.701
O 7.418 7.824 0.375
O 6.164 -0.679 7.902
O 7.555 6.039 3.003
O 4.338 -0.107 1.565
O 10.723 7.394 10.050
O 8.923 8.045 3.775
O 8.403 0.546 8.839
O 6.603 1.197 2.564
O 12.989 8.698 11.049
O 9.771 2.552 9.610
O 11.162 9.270 4.712
O 9.908 0.766 12.239
O 8.052 1.331 5.913
O 8.094 3.106 3.369
O 11.734 4.126 11.779
O 9.898 4.731 5.343
O 13.779 5.545 12.354
O 11.045 6.464 3.025
O 11.926 6.132 6.044
O 13.021 6.134 9.284
O 10.615 0.121 9.943
O 11.415 3.869 7.198
O 8.809 0.647 3.626
O 9.635 4.450 0.920
O 10.592 1.084 7.647
O 8.780 1.656 1.333
O 15.377 8.263 11.835
O 13.527 8.819 5.559
O 12.514 7.652 1.338
O 11.019 2.921 2.998
O 12.937 2.220 9.290
O 14.121 3.466 11.128
O 12.316 4.049 4.821
O 14.653 7.020 7.560
```

DFT total energy = -7.110 eV per atom
Crystal system = triclinic
Formation energy = -2610 meV/atom